Below is a relaxed ErMnGa crystal, with properties calculated at the GGA-PBE level.

Summary:
- formation enthalpy at 0 K (eV/atom) = -0.28
- final energy (eV per atom) = -5.870
- SG = Ima2 (46)

Lattice parameters (Å, degrees): 8.133 8.133 8.133 121.01 82.32 128.21
Element x y z (fractional)
Er1 0.000 0.250 0.250
Er2 0.000 0.750 0.750
Er3 0.171 0.630 0.041
Er4 0.177 0.133 0.544
Er5 0.589 0.130 0.959
Er6 0.589 0.633 0.456
Mn1 0.353 0.353 0.000
Mn2 0.353 0.853 0.500
Mn3 0.584 0.204 0.383
Mn4 0.584 0.701 0.880
Mn5 0.821 0.201 0.617
Mn6 0.821 0.704 0.120
Ga1 0.253 0.088 0.166
Ga2 0.253 0.587 0.665
Ga3 0.584 0.836 0.248
Ga4 0.589 0.336 0.752
Ga5 0.922 0.087 0.834
Ga6 0.922 0.588 0.335

---

Below is a relaxed TiSi2 crystal, with properties calculated at the GGA-PBE level.

Summary:
- formation enthalpy at 0 K (eV/atom) = -0.33
- final energy (eV per atom) = -6.630
- SG = Immm (71)

Lattice parameters (Å, degrees): 4.779 4.779 4.779 144.10 138.02 56.40
Element x y z (fractional)
Ti1 0.000 0.000 0.000
Si1 0.330 0.330 0.000
Si2 0.670 0.670 0.000

---

Below is a relaxed TlSb5S8 crystal, with properties calculated at the GGA-PBE level.

Summary:
- formation enthalpy at 0 K (eV/atom) = -0.56
- final energy (eV per atom) = -4.277
- SG = Pc (7)

Lattice parameters (Å, degrees): 8.564 19.676 12.531 90.00 132.86 90.00
Element x y z (fractional)
Tl1 0.000 0.049 0.000
Tl2 0.000 0.951 0.500
Tl3 0.928 0.448 0.729
Tl4 0.928 0.552 0.229
Sb1 0.196 0.236 0.986
Sb2 0.196 0.764 0.486
Sb3 0.206 0.271 0.294
Sb4 0.206 0.729 0.794
Sb5 0.366 0.131 0.793
Sb6 0.366 0.869 0.293
Sb7 0.427 0.042 0.449
Sb8 0.427 0.958 0.949
Sb9 0.429 0.456 0.193
Sb10 0.429 0.544 0.693
Sb11 0.604 0.346 0.031
Sb12 0.604 0.654 0.531
Sb13 0.621 0.285 0.737
Sb14 0.621 0.715 0.237
Sb15 0.794 0.214 0.546
Sb16 0.794 0.786 0.046
Sb17 0.851 0.150 0.267
Sb18 0.851 0.850 0.767
Sb19 0.995 0.371 0.465
Sb20 0.995 0.629 0.965
S1 0.002 0.388 0.272
S2 0.002 0.612 0.772
S3 0.028 0.040 0.287
S4 0.028 0.960 0.787
S5 0.182 0.222 0.465
S6 0.182 0.778 0.965
S7 0.228 0.271 0.814
S8 0.228 0.729 0.314
S9 0.359 0.416 0.685
S10 0.359 0.584 0.185
S11 0.402 0.096 0.997
S12 0.402 0.904 0.497
S13 0.436 0.159 0.336
S14 0.436 0.841 0.836
S15 0.447 0.463 0.006
S16 0.447 0.537 0.506
S17 0.462 0.008 0.783
S18 0.462 0.992 0.283
S19 0.563 0.302 0.196
S20 0.563 0.698 0.696
S21 0.580 0.332 0.538
S22 0.580 0.668 0.038
S23 0.794 0.177 0.739
S24 0.794 0.823 0.239
S25 0.811 0.483 0.414
S26 0.811 0.517 0.914
S27 0.838 0.208 0.085
S28 0.838 0.792 0.585
S29 0.980 0.337 0.949
S30 0.980 0.663 0.449
S31 0.983 0.102 0.583
S32 0.983 0.898 0.083

---

Below is a relaxed Li3SiBiCO7 crystal, with properties calculated at the GGA-PBE level.

Summary:
- formation enthalpy at 0 K (eV/atom) = -2.33
- final energy (eV per atom) = -6.496
- SG = P2_1/m (11)

Lattice parameters (Å, degrees): 4.974 7.145 9.071 90.00 92.11 90.00
Element x y z (fractional)
Li1 0.221 0.070 0.237
Li2 0.221 0.430 0.237
Li3 0.248 0.750 0.579
Li4 0.752 0.250 0.421
Li5 0.779 0.570 0.763
Li6 0.779 0.930 0.763
Si1 0.284 0.750 0.896
Si2 0.716 0.250 0.104
Bi1 0.231 0.250 0.851
Bi2 0.769 0.750 0.149
C1 0.286 0.250 0.532
C2 0.714 0.750 0.468
O1 0.044 0.250 0.579
O2 0.168 0.570 0.799
O3 0.168 0.930 0.799
O4 0.207 0.750 0.073
O5 0.330 0.250 0.390
O6 0.381 0.250 0.099
O7 0.494 0.250 0.622
O8 0.506 0.750 0.378
O9 0.619 0.750 0.901
O10 0.670 0.750 0.610
O11 0.793 0.250 0.927
O12 0.832 0.070 0.201
O13 0.832 0.430 0.201
O14 0.956 0.750 0.421

---

Below is a relaxed Be2BH3O5 crystal, with properties calculated at the GGA-PBE level.

Summary:
- formation enthalpy at 0 K (eV/atom) = -2.33
- final energy (eV per atom) = -6.476
- SG = P2_1 (4)
- offset from the most stable computed form (meV/atom) = 4

Lattice parameters (Å, degrees): 4.435 10.841 4.456 90.00 119.78 90.00
Element x y z (fractional)
Be1 0.013 0.000 0.009
Be2 0.350 0.897 0.685
Be3 0.650 0.397 0.315
Be4 0.987 0.500 0.991
B1 0.321 0.451 0.655
B2 0.679 0.951 0.345
H1 0.125 0.695 0.911
H2 0.241 0.710 0.499
H3 0.263 0.196 0.107
H4 0.737 0.696 0.893
H5 0.759 0.210 0.501
H6 0.875 0.195 0.089
O1 0.013 0.450 0.348
O2 0.015 0.155 0.994
O3 0.322 0.456 0.966
O4 0.367 0.948 0.343
O5 0.371 0.748 0.728
O6 0.629 0.248 0.272
O7 0.633 0.448 0.657
O8 0.678 0.956 0.034
O9 0.985 0.655 0.006
O10 0.987 0.950 0.652

---

Below is a relaxed Li6Zn3P4S16 crystal, with properties calculated at the GGA-PBE level.

Summary:
- formation enthalpy at 0 K (eV/atom) = -1.00
- final energy (eV per atom) = -4.279
- SG = P1 (1)
- offset from the most stable computed form (meV/atom) = 3

Lattice parameters (Å, degrees): 9.295 11.626 23.160 89.95 89.99 89.94
Element x y z (fractional)
Li1 0.000 0.000 0.000
Li2 0.000 0.009 0.751
Li3 0.234 0.510 0.875
Li4 0.244 0.262 0.003
Li5 0.251 0.507 0.626
Li6 0.252 0.264 0.751
Li7 0.252 0.756 0.001
Li8 0.253 0.259 0.252
Li9 0.253 0.757 0.500
Li10 0.255 0.010 0.876
Li11 0.255 0.261 0.502
Li12 0.256 0.758 0.747
Li13 0.257 0.756 0.253
Li14 0.497 0.265 0.877
Li15 0.502 0.754 0.878
Li16 0.738 0.011 0.622
Li17 0.743 0.008 0.875
Li18 0.749 0.008 0.129
Li19 0.751 0.759 0.004
Li20 0.755 0.009 0.377
Li21 0.755 0.509 0.127
Li22 0.756 0.513 0.625
Li23 0.758 0.511 0.375
Li24 0.769 0.508 0.878
Zn1 0.249 0.009 0.376
Zn2 0.252 0.510 0.377
Zn3 0.252 0.511 0.125
Zn4 0.255 0.010 0.623
Zn5 0.259 0.008 0.129
Zn6 0.749 0.759 0.501
Zn7 0.750 0.260 0.252
Zn8 0.751 0.260 0.002
Zn9 0.751 0.260 0.748
Zn10 0.751 0.261 0.499
Zn11 0.752 0.760 0.252
Zn12 0.753 0.756 0.751
P1 0.000 0.253 0.875
P2 0.000 0.258 0.126
P3 0.002 0.759 0.376
P4 0.003 0.256 0.628
P5 0.003 0.259 0.376
P6 0.003 0.762 0.876
P7 0.006 0.765 0.127
P8 0.500 0.004 0.751
P9 0.500 0.016 0.999
P10 0.501 0.010 0.500
P11 0.501 0.512 0.003
P12 0.502 0.508 0.251
P13 0.503 0.009 0.252
P14 0.503 0.505 0.500
P15 0.503 0.509 0.753
P16 0.998 0.763 0.624
S1 0.111 0.364 0.679
S2 0.113 0.359 0.927
S3 0.114 0.146 0.574
S4 0.115 0.147 0.323
S5 0.115 0.647 0.324
S6 0.116 0.652 0.074
S7 0.116 0.870 0.428
S8 0.117 0.370 0.428
S9 0.117 0.657 0.575
S10 0.118 0.875 0.677
S11 0.119 0.147 0.823
S12 0.119 0.367 0.177
S13 0.120 0.145 0.075
S14 0.122 0.870 0.928
S15 0.124 0.663 0.823
S16 0.126 0.870 0.181
S17 0.379 0.122 0.947
S18 0.381 0.405 0.055
S19 0.381 0.610 0.947
S20 0.381 0.911 0.053
S21 0.382 0.902 0.805
S22 0.383 0.110 0.697
S23 0.384 0.113 0.445
S24 0.385 0.406 0.807
S25 0.386 0.406 0.306
S26 0.387 0.906 0.307
S27 0.388 0.613 0.195
S28 0.390 0.405 0.554
S29 0.390 0.904 0.556
S30 0.391 0.613 0.444
S31 0.392 0.116 0.196
S32 0.392 0.610 0.699
S33 0.611 0.124 0.551
S34 0.614 0.896 0.199
S35 0.616 0.397 0.199
S36 0.616 0.620 0.303
S37 0.616 0.899 0.448
S38 0.617 0.119 0.803
S39 0.617 0.619 0.552
S40 0.618 0.119 0.304
S41 0.618 0.904 0.949
S42 0.621 0.399 0.949
S43 0.621 0.613 0.054
S44 0.622 0.118 0.053
S45 0.623 0.900 0.699
S46 0.624 0.400 0.446
S47 0.624 0.403 0.700
S48 0.629 0.616 0.806
S49 0.875 0.148 0.931
S50 0.875 0.355 0.823
S51 0.876 0.147 0.681
S52 0.878 0.664 0.927
S53 0.878 0.868 0.571
S54 0.878 0.869 0.821
S55 0.883 0.357 0.573
S56 0.885 0.156 0.181
S57 0.885 0.867 0.074
S58 0.887 0.656 0.432
S59 0.888 0.864 0.320
S60 0.889 0.155 0.431
S61 0.889 0.658 0.682
S62 0.889 0.660 0.182
S63 0.890 0.364 0.320
S64 0.891 0.363 0.069